No. 1
The following is a r²SCAN calculation of a relaxed LuSBr crystal, from the Materials Project database.

Structure (POSCAR):
```
LuSBr
1.0
-4.782 -2.147 0.340
0.213 -1.073 -3.786
3.370 -7.154 2.218
Br Lu S
2 2 2
direct
0.750 0.250 0.866
0.250 0.750 0.134
0.750 0.750 0.634
0.250 0.250 0.366
0.250 0.750 0.587
0.750 0.250 0.413
```

Output
- Final energy: -1.6223 Ry per atom
- Spin magnetization: 0.00 Bohr magnetons per cell
- Calculated formation energy: -2.282 eV/atom

No. 2
The following is a r²SCAN calculation of a relaxed Nb2Te3 crystal, from the Materials Project database.

Structure (POSCAR):
```
Nb2Te3
1.0
-3.240 -1.554 0.734
-2.177 -3.250 -7.265
2.413 -9.479 -0.174
Nb Te
4 6
direct
0.754 0.118 0.374
0.320 0.471 0.893
0.680 0.529 0.107
0.246 0.882 0.626
0.395 0.873 0.339
0.872 0.216 0.044
0.125 0.405 0.342
0.605 0.127 0.661
0.875 0.595 0.658
0.128 0.784 0.956
```

Output
- Final energy: -1.8864 Ry per atom
- Spin magnetization: 0.00 Bohr magnetons per cell
- Calculated formation energy: -0.522 eV/atom

No. 3
The following is a r²SCAN calculation of a relaxed Li2MnCl4 crystal, from the Materials Project database.

Structure (POSCAR):
```
Li2MnCl4
1.0
6.631 1.706 -2.720
0.399 5.651 4.711
-1.217 -6.821 2.504
Cl Mn Li
8 2 4
direct
0.747 0.236 0.989
0.726 0.240 0.486
0.745 0.760 0.986
0.747 0.759 0.511
0.253 0.241 0.489
0.253 0.764 0.011
0.274 0.760 0.514
0.255 0.240 0.014
0.000 0.000 0.000
0.500 0.000 0.500
0.114 0.364 0.750
0.500 0.000 0.000
0.500 0.500 0.500
0.886 0.636 0.250
```

Output
- Final energy: -0.5980 Ry per atom
- Spin magnetization: 10.00 Bohr magnetons per cell
- Calculated formation energy: -1.840 eV/atom

No. 4
The following is a r²SCAN calculation of a relaxed ZnCu2Ni crystal, from the Materials Project database.

Structure (POSCAR):
```
ZnCu2Ni
1.0
3.546 0.000 0.000
0.000 3.546 0.000
0.000 0.000 3.662
Cu Ni Zn
2 1 1
direct
0.000 0.500 0.500
0.500 0.000 0.500
0.000 0.000 0.000
0.500 0.500 0.000
```

Output
- Final energy: -0.7909 Ry per atom
- Spin magnetization: 0.00 Bohr magnetons per cell
- Calculated formation energy: -0.114 eV/atom

No. 5
The following is a r²SCAN calculation of a relaxed RbYbS2 crystal, from the Materials Project database.

Structure (POSCAR):
```
RbYbS2
1.0
7.719 -1.993 0.104
7.719 1.993 0.104
7.159 0.000 3.511
S Yb Rb
2 1 1
direct
0.230 0.230 0.230
0.770 0.770 0.770
0.500 0.500 0.500
0.000 0.000 0.000
```

Output
- Final energy: -1.3792 Ry per atom
- Spin magnetization: 0.00 Bohr magnetons per cell
- Calculated formation energy: -2.132 eV/atom

No. 6
The following is a r²SCAN calculation of a relaxed Si2Ni3 crystal, from the Materials Project database.

Structure (POSCAR):
```
Si2Ni3
1.0
-1.320 5.601 -5.667
-6.354 1.785 4.655
3.841 4.474 3.527
Si Ni
16 24
direct
0.189 0.493 0.042
0.062 0.825 0.250
0.407 0.407 0.750
0.593 0.593 0.250
0.845 0.845 0.750
0.493 0.189 0.042
0.175 0.938 0.750
0.825 0.062 0.250
0.938 0.175 0.750
0.507 0.811 0.958
0.189 0.493 0.458
0.155 0.155 0.250
0.811 0.507 0.542
0.811 0.507 0.958
0.493 0.189 0.458
0.507 0.811 0.542
0.765 0.765 0.062
0.000 0.000 0.500
0.291 0.946 0.060
0.946 0.291 0.440
0.709 0.054 0.560
0.235 0.235 0.938
0.950 0.557 0.250
0.322 0.685 0.250
0.315 0.678 0.750
0.443 0.050 0.750
0.235 0.235 0.562
0.000 0.000 0.000
0.050 0.443 0.750
0.678 0.315 0.750
0.946 0.291 0.060
0.054 0.709 0.560
0.557 0.950 0.250
0.685 0.322 0.250
0.054 0.709 0.940
0.765 0.765 0.438
0.709 0.054 0.940
0.617 0.617 0.750
0.383 0.383 0.250
0.291 0.946 0.440
```

Output
- Final energy: -0.8230 Ry per atom
- Spin magnetization: 0.00 Bohr magnetons per cell
- Calculated formation energy: -0.499 eV/atom

No. 7
The following is a r²SCAN calculation of a relaxed NdAgPb crystal, from the Materials Project database.

Structure (POSCAR):
```
NdAgPb
1.0
2.428 -4.206 0.000
2.428 4.206 0.000
0.000 0.000 7.727
Nd Ag Pb
2 2 2
direct
0.000 0.000 0.011
0.000 0.000 0.511
0.667 0.333 0.321
0.333 0.667 0.821
0.667 0.333 0.731
0.333 0.667 0.231
```

Output
- Final energy: -2.6652 Ry per atom
- Spin magnetization: 0.00 Bohr magnetons per cell
- Calculated formation energy: -0.576 eV/atom

No. 8
The following is a r²SCAN calculation of a relaxed Y5Ga3 crystal, from the Materials Project database.

Structure (POSCAR):
```
Y5Ga3
1.0
-5.167 4.002 5.629
-1.898 -7.976 -2.680
3.496 -2.510 4.993
Ga Y
6 10
direct
0.393 0.393 0.250
0.393 0.000 0.750
0.607 0.607 0.750
0.607 0.000 0.250
0.000 0.393 0.750
0.000 0.607 0.250
0.667 0.333 0.000
0.333 0.667 0.500
0.745 0.745 0.250
0.255 0.255 0.750
0.745 0.000 0.750
0.000 0.255 0.250
0.000 0.745 0.750
0.667 0.333 0.500
0.255 0.000 0.250
0.333 0.667 0.000
```

Output
- Final energy: -1.2916 Ry per atom
- Spin magnetization: 1.87 Bohr magnetons per cell
- Calculated formation energy: -0.586 eV/atom